# 1
{
  "formula": "Zr2Sc2SiS5O24",
  "functional": "GGA-PBE",
  "state": "optimized geometry",
  "lattice": [[8.966, 0.000, 0.000], [4.479, 7.772, 0.000], [0.019, -0.007, 23.019]],
  "species": ["Zr", "Zr", "Zr", "Zr", "Zr", "Zr", "Sc", "Sc", "Sc", "Sc", "Sc", "Sc", "Si", "Si", "Si", "S", "S", "S", "S", "S", "S", "S", "S", "S", "S", "S", "S", "S", "S", "S", "O", "O", "O", "O", "O", "O", "O", "O", "O", "O", "O", "O", "O", "O", "O", "O", "O", "O", "O", "O", "O", "O", "O", "O", "O", "O", "O", "O", "O", "O", "O", "O", "O", "O", "O", "O", "O", "O", "O", "O", "O", "O", "O", "O", "O", "O", "O", "O", "O", "O", "O", "O", "O", "O", "O", "O", "O", "O", "O", "O", "O", "O", "O", "O", "O", "O", "O", "O", "O", "O", "O", "O"],
  "frac_coords": [[0.000, 0.000, 0.000], [0.004, 0.991, 0.209], [0.009, 0.983, 0.710], [0.328, 0.330, 0.331], [0.335, 0.330, 0.830], [0.685, 0.647, 0.165], [0.000, 0.990, 0.499], [0.327, 0.323, 0.044], [0.336, 0.323, 0.541], [0.657, 0.659, 0.873], [0.660, 0.653, 0.667], [0.677, 0.661, 0.374], [0.006, 0.281, 0.104], [0.383, 0.657, 0.770], [0.956, 0.660, 0.272], [0.001, 0.698, 0.603], [0.043, 0.613, 0.938], [0.044, 0.323, 0.438], [0.293, 0.698, 0.104], [0.293, 0.990, 0.603], [0.336, 0.615, 0.438], [0.338, 0.032, 0.937], [0.380, 0.945, 0.271], [0.624, 0.326, 0.938], [0.626, 0.033, 0.438], [0.668, 0.944, 0.770], [0.669, 0.368, 0.271], [0.709, 0.993, 0.104], [0.711, 0.281, 0.603], [0.956, 0.369, 0.770], [0.027, 0.785, 0.945], [0.028, 0.168, 0.446], [0.031, 0.780, 0.655], [0.033, 0.158, 0.160], [0.125, 0.505, 0.989], [0.127, 0.352, 0.489], [0.131, 0.346, 0.779], [0.147, 0.488, 0.281], [0.155, 0.292, 0.386], [0.155, 0.532, 0.885], [0.156, 0.528, 0.595], [0.172, 0.300, 0.093], [0.180, 0.785, 0.446], [0.181, 0.021, 0.655], [0.182, 0.778, 0.156], [0.183, 0.013, 0.945], [0.190, 0.824, 0.760], [0.207, 0.965, 0.263], [0.210, 0.809, 0.051], [0.210, 0.961, 0.552], [0.305, 0.142, 0.885], [0.305, 0.533, 0.386], [0.309, 0.145, 0.595], [0.311, 0.528, 0.095], [0.357, 0.490, 0.781], [0.361, 0.118, 0.279], [0.363, 0.503, 0.489], [0.365, 0.113, 0.989], [0.457, 0.838, 0.323], [0.461, 0.684, 0.112], [0.464, 0.838, 0.612], [0.468, 0.689, 0.828], [0.485, 0.869, 0.218], [0.489, 0.632, 0.429], [0.490, 0.861, 0.930], [0.501, 0.625, 0.713], [0.515, 0.115, 0.489], [0.515, 0.118, 0.779], [0.516, 0.347, 0.279], [0.517, 0.352, 0.989], [0.539, 0.298, 0.595], [0.540, 0.145, 0.095], [0.545, 0.293, 0.885], [0.546, 0.142, 0.386], [0.635, 0.476, 0.219], [0.639, 0.868, 0.718], [0.641, 0.862, 0.430], [0.647, 0.475, 0.929], [0.691, 0.839, 0.111], [0.695, 0.451, 0.611], [0.697, 0.446, 0.323], [0.700, 0.838, 0.823], [0.791, 0.020, 0.155], [0.791, 0.171, 0.655], [0.796, 0.168, 0.944], [0.798, 0.015, 0.446], [0.820, 0.196, 0.263], [0.820, 0.967, 0.762], [0.822, 0.198, 0.552], [0.822, 0.958, 0.052], [0.832, 0.466, 0.112], [0.836, 0.687, 0.328], [0.848, 0.682, 0.612], [0.851, 0.445, 0.823], [0.870, 0.625, 0.215], [0.873, 0.475, 0.429], [0.873, 0.632, 0.928], [0.882, 0.476, 0.718], [0.971, 0.189, 0.048], [0.974, 0.810, 0.552], [0.976, 0.195, 0.762], [0.980, 0.825, 0.260]],
  "vol_a3_per_atom": 15.7,
  "e_form_ev_per_atom": -2.674,
  "total_magnetization_mub_per_fu": 0.000
}

# 2
{
  "formula": "YScS3O12",
  "functional": "GGA-PBE",
  "state": "optimized geometry",
  "lattice": [[9.064, 0.000, 0.000], [-4.532, 7.850, 0.000], [0.000, 0.000, 23.453]],
  "species": ["Y", "Y", "Y", "Y", "Y", "Y", "Sc", "Sc", "Sc", "Sc", "Sc", "Sc", "S", "S", "S", "S", "S", "S", "S", "S", "S", "S", "S", "S", "S", "S", "S", "S", "S", "S", "O", "O", "O", "O", "O", "O", "O", "O", "O", "O", "O", "O", "O", "O", "O", "O", "O", "O", "O", "O", "O", "O", "O", "O", "O", "O", "O", "O", "O", "O", "O", "O", "O", "O", "O", "O", "O", "O", "O", "O", "O", "O", "O", "O", "O", "O", "O", "O", "O", "O", "O", "O", "O", "O", "O", "O", "O", "O", "O", "O", "O", "O", "O", "O", "O", "O", "O", "O", "O", "O", "O", "O"],
  "frac_coords": [[0.000, 0.000, 0.106], [0.000, 0.000, 0.392], [0.000, 0.000, 0.608], [0.000, 0.000, 0.894], [0.333, 0.667, 0.564], [0.667, 0.333, 0.436], [0.333, 0.667, 0.063], [0.333, 0.667, 0.270], [0.333, 0.667, 0.773], [0.667, 0.333, 0.227], [0.667, 0.333, 0.730], [0.667, 0.333, 0.937], [0.000, 0.291, 0.500], [0.000, 0.700, 0.000], [0.040, 0.659, 0.671], [0.047, 0.387, 0.168], [0.291, 0.000, 0.500], [0.300, 0.300, 0.000], [0.341, 0.381, 0.671], [0.341, 0.953, 0.168], [0.381, 0.341, 0.329], [0.387, 0.047, 0.832], [0.613, 0.659, 0.168], [0.619, 0.960, 0.671], [0.659, 0.040, 0.329], [0.659, 0.613, 0.832], [0.700, 0.000, 0.000], [0.709, 0.709, 0.500], [0.953, 0.341, 0.832], [0.960, 0.619, 0.329], [0.023, 0.811, 0.664], [0.024, 0.209, 0.449], [0.027, 0.217, 0.160], [0.033, 0.811, 0.949], [0.113, 0.631, 0.618], [0.124, 0.492, 0.823], [0.127, 0.492, 0.116], [0.130, 0.639, 0.319], [0.151, 0.681, 0.011], [0.152, 0.460, 0.507], [0.154, 0.685, 0.720], [0.155, 0.469, 0.219], [0.186, 0.976, 0.449], [0.189, 0.212, 0.664], [0.189, 0.221, 0.949], [0.189, 0.973, 0.160], [0.209, 0.024, 0.551], [0.212, 0.189, 0.336], [0.217, 0.027, 0.840], [0.221, 0.189, 0.051], [0.309, 0.848, 0.507], [0.314, 0.845, 0.219], [0.315, 0.469, 0.720], [0.319, 0.469, 0.011], [0.361, 0.491, 0.319], [0.365, 0.873, 0.116], [0.368, 0.876, 0.823], [0.369, 0.482, 0.618], [0.460, 0.152, 0.493], [0.469, 0.155, 0.781], [0.469, 0.315, 0.280], [0.469, 0.319, 0.989], [0.482, 0.369, 0.382], [0.491, 0.361, 0.681], [0.492, 0.124, 0.177], [0.492, 0.127, 0.884], [0.508, 0.632, 0.823], [0.508, 0.635, 0.116], [0.509, 0.870, 0.319], [0.518, 0.887, 0.618], [0.531, 0.686, 0.219], [0.531, 0.846, 0.720], [0.531, 0.849, 0.011], [0.540, 0.691, 0.507], [0.631, 0.113, 0.382], [0.632, 0.508, 0.177], [0.635, 0.508, 0.884], [0.639, 0.130, 0.681], [0.681, 0.151, 0.989], [0.685, 0.154, 0.280], [0.686, 0.531, 0.781], [0.691, 0.540, 0.493], [0.779, 0.967, 0.949], [0.783, 0.811, 0.160], [0.788, 0.977, 0.664], [0.791, 0.814, 0.449], [0.811, 0.023, 0.336], [0.811, 0.033, 0.051], [0.811, 0.783, 0.840], [0.814, 0.791, 0.551], [0.845, 0.314, 0.781], [0.846, 0.531, 0.280], [0.848, 0.309, 0.493], [0.849, 0.531, 0.989], [0.870, 0.509, 0.681], [0.873, 0.365, 0.884], [0.876, 0.368, 0.177], [0.887, 0.518, 0.382], [0.967, 0.779, 0.051], [0.973, 0.189, 0.840], [0.976, 0.186, 0.551], [0.977, 0.788, 0.336]],
  "vol_a3_per_atom": 16.4,
  "e_form_ev_per_atom": -2.609,
  "total_magnetization_mub_per_fu": 0.000
}

# 3
{
  "formula": "Ta2Si3Sn2S3O24",
  "functional": "GGA-PBE",
  "state": "optimized geometry",
  "lattice": [[8.860, 0.000, 0.000], [4.399, 7.698, 0.000], [0.119, -0.020, 22.901]],
  "species": ["Ta", "Ta", "Ta", "Ta", "Ta", "Ta", "Si", "Si", "Si", "Si", "Si", "Si", "Si", "Si", "Si", "Sn", "Sn", "Sn", "Sn", "Sn", "Sn", "S", "S", "S", "S", "S", "S", "S", "S", "S", "O", "O", "O", "O", "O", "O", "O", "O", "O", "O", "O", "O", "O", "O", "O", "O", "O", "O", "O", "O", "O", "O", "O", "O", "O", "O", "O", "O", "O", "O", "O", "O", "O", "O", "O", "O", "O", "O", "O", "O", "O", "O", "O", "O", "O", "O", "O", "O", "O", "O", "O", "O", "O", "O", "O", "O", "O", "O", "O", "O", "O", "O", "O", "O", "O", "O", "O", "O", "O", "O", "O", "O"],
  "frac_coords": [[0.000, 0.000, 0.000], [0.008, 0.991, 0.505], [0.323, 0.331, 0.335], [0.340, 0.339, 0.829], [0.653, 0.660, 0.668], [0.677, 0.654, 0.172], [0.055, 0.324, 0.227], [0.285, 0.714, 0.893], [0.339, 0.048, 0.726], [0.386, 0.660, 0.559], [0.620, 0.048, 0.228], [0.627, 0.326, 0.725], [0.661, 0.381, 0.062], [0.958, 0.381, 0.562], [0.994, 0.718, 0.395], [0.013, 0.000, 0.785], [0.334, 0.333, 0.621], [0.344, 0.327, 0.126], [0.654, 0.664, 0.956], [0.680, 0.658, 0.459], [0.986, 0.006, 0.289], [0.000, 0.292, 0.895], [0.042, 0.624, 0.727], [0.288, 0.998, 0.395], [0.331, 0.624, 0.228], [0.378, 0.957, 0.060], [0.666, 0.956, 0.561], [0.708, 0.292, 0.394], [0.711, 0.000, 0.895], [0.952, 0.668, 0.060], [0.021, 0.797, 0.737], [0.024, 0.179, 0.948], [0.024, 0.817, 0.450], [0.030, 0.161, 0.239], [0.126, 0.519, 0.068], [0.127, 0.511, 0.781], [0.141, 0.367, 0.284], [0.149, 0.352, 0.570], [0.151, 0.552, 0.676], [0.158, 0.305, 0.888], [0.158, 0.308, 0.167], [0.159, 0.816, 0.951], [0.172, 0.526, 0.382], [0.173, 0.023, 0.734], [0.174, 0.035, 0.446], [0.185, 0.800, 0.236], [0.190, 0.837, 0.838], [0.193, 0.839, 0.550], [0.201, 0.974, 0.050], [0.211, 0.973, 0.341], [0.298, 0.554, 0.174], [0.300, 0.170, 0.670], [0.300, 0.523, 0.884], [0.303, 0.161, 0.387], [0.349, 0.135, 0.066], [0.356, 0.500, 0.570], [0.359, 0.148, 0.786], [0.367, 0.511, 0.279], [0.454, 0.847, 0.112], [0.462, 0.851, 0.402], [0.470, 0.704, 0.617], [0.474, 0.699, 0.901], [0.486, 0.885, 0.007], [0.489, 0.362, 0.069], [0.491, 0.640, 0.218], [0.492, 0.643, 0.500], [0.493, 0.145, 0.285], [0.497, 0.368, 0.785], [0.516, 0.860, 0.717], [0.517, 0.131, 0.566], [0.534, 0.307, 0.384], [0.536, 0.300, 0.670], [0.537, 0.157, 0.889], [0.544, 0.161, 0.170], [0.633, 0.858, 0.213], [0.635, 0.495, 0.004], [0.635, 0.883, 0.507], [0.641, 0.503, 0.720], [0.683, 0.469, 0.400], [0.693, 0.480, 0.117], [0.694, 0.845, 0.906], [0.701, 0.846, 0.612], [0.788, 0.182, 0.445], [0.795, 0.031, 0.948], [0.809, 0.160, 0.741], [0.812, 0.019, 0.234], [0.817, 0.221, 0.341], [0.817, 0.970, 0.843], [0.824, 0.696, 0.401], [0.825, 0.975, 0.552], [0.828, 0.480, 0.618], [0.836, 0.189, 0.047], [0.839, 0.703, 0.112], [0.849, 0.468, 0.904], [0.861, 0.502, 0.217], [0.871, 0.639, 0.721], [0.874, 0.643, 0.007], [0.880, 0.494, 0.503], [0.961, 0.219, 0.843], [0.967, 0.192, 0.547], [0.967, 0.830, 0.051], [0.973, 0.829, 0.336]],
  "vol_a3_per_atom": 15.3,
  "e_form_ev_per_atom": -2.485,
  "total_magnetization_mub_per_fu": 0.000
}